Compound: CeSe2O8
Source: the Materials Project
Functional: PBE-GGA
Structure: optimized geometry

```
CeSe2O8
1.0
-4.9931 7.7504 -1.8837
0.9588 -1.7545 -9.7603
-11.8577 -7.5906 0.1996
Ce Se O
8 16 64
Cartesian
-10.5931 0.6558 -5.8771
-11.5249 -5.5847 -5.5796
-7.3851 0.8738 -10.6861
-2.2809 0.8655 -0.7461
-5.2989 -2.2506 -5.5674
-4.3671 3.9899 -5.8648
-8.5068 -2.4686 -0.7584
-13.6111 -2.4603 -10.6983
-11.0672 0.1382 -2.1954
-10.0832 -6.5690 -8.8963
-7.5964 2.6457 -7.3901
-3.0371 0.5955 -4.4070
-4.8248 -1.7330 -9.2490
-5.8088 4.9742 -2.5481
-8.2955 -4.2405 -4.0543
-12.8548 -2.1903 -7.0374
-7.4654 0.0544 -3.5457
-0.0127 -1.7112 -7.0610
-10.8740 2.1363 -9.3398
-13.4318 -3.6691 -2.9423
-8.4265 -1.6492 -7.8987
-15.8793 0.1164 -4.3834
-5.0179 -3.7311 -2.1046
-2.4602 2.0743 -8.5021
-10.0651 1.4719 -2.0465
-11.6550 -7.0182 -9.2601
-8.6533 1.4121 -6.9820
-1.4105 0.9446 -4.6002
-5.8268 -3.0667 -9.3979
-4.2369 5.4234 -2.1843
-7.2387 -3.0069 -4.4624
-14.4815 -2.5394 -6.8442
-11.5015 0.0000 -3.8039
-10.1144 -5.7083 -7.4634
-6.8622 2.2350 -8.8348
-3.3058 0.2837 -2.7867
-4.3905 -1.5948 -7.6406
-5.7776 4.1135 -3.9810
-9.0297 -3.8298 -2.6096
-12.5861 -1.8785 -8.6577
-12.4639 -0.8282 -6.1655
-9.4717 -4.3837 -5.2224
-6.4031 3.9841 -1.3503
-3.4453 -1.9618 -10.1507
-3.4281 -0.7666 -5.2789
-7.4616 -5.6833 -3.9277
-6.4203 2.7889 -6.2221
-12.4467 0.3670 -1.2937
-13.5776 -4.3694 -9.2587
-6.5469 -3.6536 -1.4460
-4.6067 6.2762 -5.2061
-7.0527 -1.4428 -6.9781
-2.3143 2.7746 -2.1857
-9.3450 2.0588 -9.9984
-11.2853 -7.8710 -6.2383
-8.8393 -0.1520 -4.4664
-9.7710 -1.3021 -6.9679
-10.4045 -6.6420 -3.7560
-8.8787 4.0605 -2.7593
-2.7297 0.6940 -9.4057
-6.1209 -0.2927 -4.4765
-5.4875 5.0472 -7.6885
-7.0132 -5.6553 -8.6851
-13.1622 -2.2888 -2.0387
-8.3610 -0.5829 -9.1984
-12.1229 -6.8823 -1.6419
-9.8664 2.5685 -4.8278
-1.4336 1.7071 -7.2208
-7.5309 -1.0119 -2.2461
-3.7690 5.2875 -9.8025
-6.0255 -4.1633 -6.6166
-14.4584 -3.3019 -4.2236
-11.1968 0.9209 -8.2499
-11.9969 -4.1799 -3.6127
-7.3129 1.5813 -2.9021
-1.2772 -1.5119 -8.1242
-4.6951 -2.5157 -3.1945
-3.8950 2.5851 -7.8317
-8.5790 -3.1761 -8.5423
-14.6147 -0.0829 -3.3203
-9.1190 -7.9284 -8.7719
-10.2738 -1.2305 -1.6567
-3.9608 1.8809 -4.9435
-8.4303 4.0885 -7.5167
-6.7730 6.3336 -2.6725
-5.6182 -0.3643 -9.7877
-11.9312 -3.4757 -6.5009
-9.4889 -5.5789 -10.0942
```

Results
Calculated formation energy ... -1.843 eV/atom
SG ... Pbca, No. 61